# 1
Entry from the Materials Project database: DyPa3 after structural relaxation (PBE).

Summary:
The value obtained for the calculated formation energy is 73 kJ/mol of formula units. As for the space group: No. 221. For the total magnetic moment, the calculation gives 0.004 μB per formula unit.

abc: 4.7030 4.7030 4.7030
angles: 90.00 90.00 90.00
Last column: nearest neighbours and their distance in Å.
Fractional positions:
1 Dy 0.0000 0.0000 0.0000  12 Pa 3.33
2 Pa 0.0000 0.5000 0.5000  4 Dy 3.33, 8 Pa 3.33
3 Pa 0.5000 0.0000 0.5000  4 Dy 3.33, 8 Pa 3.33
4 Pa 0.5000 0.5000 0.0000  4 Dy 3.33, 8 Pa 3.33

# 2
Entry from the Materials Project database: Mg149Nb after structural relaxation (PBE).

Summary:
The value obtained for the calculated formation energy is -238 kJ/mol of formula units. As for the space group: No. 187. For the total magnetic moment, the calculation gives 2.307 μB per formula unit.

abc: 15.9374 15.9374 15.6034
angles: 90.00 90.00 120.00
Last column: nearest neighbours and their distance in Å.
Fractional positions:
1 Mg 0.0000 0.0000 0.0000  12 Mg 3.18-3.19
2 Mg 0.0000 0.0000 0.3336  12 Mg 3.19
3 Mg 0.0000 0.0000 0.6664  12 Mg 3.19
4 Mg 0.0004 0.1997 0.0000  12 Mg 3.17-3.19
5 Mg 0.0003 0.2003 0.3333  12 Mg 3.18-3.20
6 Mg 0.0003 0.2003 0.6667  12 Mg 3.18-3.20
7 Mg 0.0005 0.4001 0.0000  12 Mg 3.18-3.21
8 Mg 0.0001 0.4006 0.3336  12 Mg 3.17-3.23
9 Mg 0.0001 0.4006 0.6664  12 Mg 3.17-3.23
10 Mg 0.0005 0.6003 0.0000  12 Mg 3.18-3.21
11 Mg 0.0001 0.5996 0.3336  12 Mg 3.17-3.23
12 Mg 0.0001 0.5996 0.6664  12 Mg 3.17-3.23
13 Mg 0.0003 0.8000 0.3333  12 Mg 3.18-3.20
14 Mg 0.0003 0.8000 0.6667  12 Mg 3.18-3.20
15 Mg 0.0004 0.8007 0.0000  12 Mg 3.17-3.19
16 Mg 0.1334 0.2669 0.1665  12 Mg 3.18-3.19
17 Mg 0.1334 0.2668 0.5000  12 Mg 3.16-3.23
18 Mg 0.1334 0.2669 0.8335  12 Mg 3.18-3.19
19 Mg 0.1334 0.8666 0.1665  12 Mg 3.18-3.19
20 Mg 0.1334 0.8666 0.5000  12 Mg 3.16-3.23
21 Mg 0.1334 0.8666 0.8335  12 Mg 3.18-3.19
22 Mg 0.1335 0.0668 0.1669  12 Mg 3.18-3.19
23 Mg 0.1339 0.0669 0.5000  12 Mg 3.19-3.20
24 Mg 0.1335 0.0668 0.8331  12 Mg 3.18-3.19
25 Mg 0.1338 0.4674 0.1685  12 Mg 3.17-3.23
26 Mg 0.1338 0.4674 0.8315  12 Mg 3.17-3.23
27 Mg 0.1338 0.6664 0.1685  12 Mg 3.17-3.23
28 Mg 0.1338 0.6664 0.8315  12 Mg 3.17-3.23
29 Mg 0.1388 0.4722 0.5000  11 Mg 3.09-3.24, 1 Nb 3.10
30 Mg 0.1388 0.6665 0.5000  11 Mg 3.09-3.24, 1 Nb 3.10
31 Mg 0.1993 0.9996 0.0000  12 Mg 3.17-3.19
32 Mg 0.1993 0.1997 0.0000  12 Mg 3.17-3.19
33 Mg 0.2000 0.9997 0.3333  12 Mg 3.18-3.20
34 Mg 0.2000 0.9997 0.6667  12 Mg 3.18-3.20
35 Mg 0.2000 0.2003 0.3333  12 Mg 3.18-3.20
36 Mg 0.2000 0.2003 0.6667  12 Mg 3.18-3.20
37 Mg 0.2002 0.4004 0.0000  12 Mg 3.18-3.21
38 Mg 0.1998 0.3997 0.3341  12 Mg 3.17-3.19
39 Mg 0.1998 0.3997 0.6659  12 Mg 3.17-3.19
40 Mg 0.2000 0.6000 0.0000  12 Mg 3.18-3.20
41 Mg 0.2002 0.7998 0.0000  12 Mg 3.18-3.21
42 Mg 0.1998 0.8002 0.3341  12 Mg 3.17-3.19
43 Mg 0.1998 0.8002 0.6659  12 Mg 3.17-3.19
44 Mg 0.2034 0.6017 0.3384  11 Mg 3.09-3.23, 1 Nb 3.09
45 Mg 0.2034 0.6017 0.6616  11 Mg 3.09-3.23, 1 Nb 3.09
46 Mg 0.3330 0.0641 0.5000  12 Mg 3.16-3.26
47 Mg 0.3334 0.0664 0.1669  12 Mg 3.18-3.20
48 Mg 0.3334 0.0664 0.8331  12 Mg 3.18-3.20
49 Mg 0.3334 0.2670 0.1669  12 Mg 3.18-3.20
50 Mg 0.3334 0.2670 0.8331  12 Mg 3.18-3.20
51 Mg 0.3330 0.2688 0.5000  12 Mg 3.16-3.26
52 Mg 0.3335 0.4722 0.5000  11 Mg 3.09-3.24, 1 Nb 3.10
53 Mg 0.3333 0.6667 0.1664  12 Mg 3.18-3.23
54 Mg 0.3333 0.6667 0.8336  12 Mg 3.18-3.23
55 Mg 0.3335 0.8612 0.5000  11 Mg 3.09-3.24, 1 Nb 3.10
56 Mg 0.3336 0.4674 0.1685  12 Mg 3.17-3.23
57 Mg 0.3336 0.4674 0.8315  12 Mg 3.17-3.23
58 Mg 0.3336 0.8662 0.1685  12 Mg 3.17-3.23
59 Mg 0.3336 0.8662 0.8315  12 Mg 3.17-3.23
60 Mg 0.3983 0.6017 0.3384  11 Mg 3.09-3.23, 1 Nb 3.09
61 Mg 0.3983 0.6017 0.6616  11 Mg 3.09-3.23, 1 Nb 3.09
62 Mg 0.3983 0.7966 0.3384  11 Mg 3.09-3.23, 1 Nb 3.09
63 Mg 0.3983 0.7966 0.6616  11 Mg 3.09-3.23, 1 Nb 3.09
64 Mg 0.3990 0.1995 0.0000  12 Mg 3.18-3.20
65 Mg 0.3997 0.9995 0.0000  12 Mg 3.18-3.21
66 Mg 0.4004 0.9999 0.3336  12 Mg 3.17-3.23
67 Mg 0.4004 0.9999 0.6664  12 Mg 3.17-3.23
68 Mg 0.4000 0.2000 0.3336  12 Mg 3.18-3.20
69 Mg 0.4000 0.2000 0.6664  12 Mg 3.18-3.20
70 Mg 0.3997 0.4001 0.0000  12 Mg 3.18-3.21
71 Mg 0.4004 0.4006 0.3336  12 Mg 3.17-3.23
72 Mg 0.4004 0.4006 0.6664  12 Mg 3.17-3.23
73 Mg 0.4000 0.6000 0.0000  12 Mg 3.18-3.20
74 Mg 0.4000 0.8000 0.0000  12 Mg 3.18-3.20
75 Mg 0.5278 0.6665 0.5000  11 Mg 3.09-3.24, 1 Nb 3.10
76 Mg 0.5278 0.8612 0.5000  11 Mg 3.09-3.24, 1 Nb 3.10
77 Mg 0.5330 0.0660 0.5000  12 Mg 3.17-3.22
78 Mg 0.5335 0.0670 0.1663  12 Mg 3.18-3.19
79 Mg 0.5335 0.0670 0.8337  12 Mg 3.18-3.19
80 Mg 0.5333 0.2666 0.1664  12 Mg 3.18-3.19
81 Mg 0.5331 0.2666 0.5000  12 Mg 3.18-3.21
82 Mg 0.5333 0.2666 0.8336  12 Mg 3.18-3.19
83 Mg 0.5335 0.4665 0.1663  12 Mg 3.18-3.19
84 Mg 0.5330 0.4670 0.5000  12 Mg 3.17-3.22
85 Mg 0.5335 0.4665 0.8337  12 Mg 3.18-3.19
86 Mg 0.5326 0.6664 0.1685  12 Mg 3.17-3.23
87 Mg 0.5326 0.6664 0.8315  12 Mg 3.17-3.23
88 Mg 0.5326 0.8662 0.1685  12 Mg 3.17-3.23
89 Mg 0.5326 0.8662 0.8315  12 Mg 3.17-3.23
90 Mg 0.5994 0.9999 0.3336  12 Mg 3.17-3.23
91 Mg 0.5994 0.9999 0.6664  12 Mg 3.17-3.23
92 Mg 0.5994 0.5996 0.3336  12 Mg 3.17-3.23
93 Mg 0.5994 0.5996 0.6664  12 Mg 3.17-3.23
94 Mg 0.5999 0.9995 0.0000  12 Mg 3.18-3.21
95 Mg 0.5998 0.1996 0.0000  12 Mg 3.18-3.20
96 Mg 0.6002 0.2003 0.3332  12 Mg 3.18-3.20
97 Mg 0.6002 0.2003 0.6668  12 Mg 3.18-3.20
98 Mg 0.5998 0.4002 0.0000  12 Mg 3.18-3.20
99 Mg 0.6002 0.3998 0.3332  12 Mg 3.18-3.20
100 Mg 0.6002 0.3998 0.6668  12 Mg 3.18-3.20
101 Mg 0.5999 0.6003 0.0000  12 Mg 3.18-3.21
102 Mg 0.5996 0.7998 0.0000  12 Mg 3.18-3.21
103 Mg 0.6003 0.8002 0.3341  12 Mg 3.17-3.19
104 Mg 0.6003 0.8002 0.6659  12 Mg 3.17-3.19
105 Mg 0.7312 0.0641 0.5000  12 Mg 3.16-3.26
106 Mg 0.7312 0.6670 0.5000  12 Mg 3.16-3.26
107 Mg 0.7330 0.0664 0.1669  12 Mg 3.18-3.20
108 Mg 0.7330 0.0664 0.8331  12 Mg 3.18-3.20
109 Mg 0.7334 0.2666 0.1664  12 Mg 3.18-3.19
110 Mg 0.7334 0.2666 0.5000  12 Mg 3.18-3.21
111 Mg 0.7334 0.2666 0.8336  12 Mg 3.18-3.19
112 Mg 0.7334 0.4667 0.1664  12 Mg 3.18-3.19
113 Mg 0.7334 0.4669 0.5000  12 Mg 3.18-3.21
114 Mg 0.7334 0.4667 0.8336  12 Mg 3.18-3.19
115 Mg 0.7330 0.6666 0.1669  12 Mg 3.18-3.20
116 Mg 0.7330 0.6666 0.8331  12 Mg 3.18-3.20
117 Mg 0.7331 0.8666 0.1665  12 Mg 3.18-3.19
118 Mg 0.7332 0.8666 0.5000  12 Mg 3.16-3.23
119 Mg 0.7331 0.8666 0.8335  12 Mg 3.18-3.19
120 Mg 0.8003 0.9996 0.0000  12 Mg 3.17-3.19
121 Mg 0.7997 0.9997 0.3333  12 Mg 3.18-3.20
122 Mg 0.7997 0.9997 0.6667  12 Mg 3.18-3.20
123 Mg 0.8000 0.2000 0.3336  12 Mg 3.18-3.20
124 Mg 0.8000 0.2000 0.6664  12 Mg 3.18-3.20
125 Mg 0.8004 0.4002 0.0000  12 Mg 3.18-3.20
126 Mg 0.7997 0.3998 0.3332  12 Mg 3.18-3.20
127 Mg 0.7997 0.3998 0.6668  12 Mg 3.18-3.20
128 Mg 0.8000 0.6000 0.3336  12 Mg 3.18-3.20
129 Mg 0.8000 0.6000 0.6664  12 Mg 3.18-3.20
130 Mg 0.7997 0.8000 0.3333  12 Mg 3.18-3.20
131 Mg 0.7997 0.8000 0.6667  12 Mg 3.18-3.20
132 Mg 0.8003 0.8007 0.0000  12 Mg 3.17-3.19
133 Mg 0.8005 0.1995 0.0000  12 Mg 3.18-3.20
134 Mg 0.8005 0.6010 0.0000  12 Mg 3.18-3.20
135 Mg 0.9332 0.0668 0.1669  12 Mg 3.18-3.19
136 Mg 0.9331 0.0669 0.5000  12 Mg 3.19-3.20
137 Mg 0.9332 0.0668 0.8331  12 Mg 3.18-3.19
138 Mg 0.9330 0.4665 0.1663  12 Mg 3.18-3.19
139 Mg 0.9330 0.4665 0.8337  12 Mg 3.18-3.19
140 Mg 0.9332 0.8665 0.1669  12 Mg 3.18-3.19
141 Mg 0.9331 0.8661 0.5000  12 Mg 3.19-3.20
142 Mg 0.9332 0.8665 0.8331  12 Mg 3.18-3.19
143 Mg 0.9336 0.2670 0.1669  12 Mg 3.18-3.20
144 Mg 0.9336 0.2670 0.8331  12 Mg 3.18-3.20
145 Mg 0.9340 0.4670 0.5000  12 Mg 3.17-3.22
146 Mg 0.9336 0.6666 0.1669  12 Mg 3.18-3.20
147 Mg 0.9336 0.6666 0.8331  12 Mg 3.18-3.20
148 Mg 0.9359 0.2688 0.5000  12 Mg 3.16-3.26
149 Mg 0.9359 0.6670 0.5000  12 Mg 3.16-3.26
150 Nb 0.3333 0.6667 0.5000  12 Mg 3.09-3.10

# 3
Entry from the Materials Project database: CaSiO3 after structural relaxation (PBE).

Summary:
The value obtained for the calculated formation energy is -1663 kJ/mol of formula units. As for the space group: No. 2.

abc: 7.1511 7.3928 8.0248
angles: 103.45 95.52 90.08
Last column: nearest neighbours and their distance in Å.
Fractional positions:
1 Ca 0.0297 0.2505 0.0043  7 O 2.36-2.61
2 Ca 0.2596 0.9240 0.6975  5 O 2.29-2.45
3 Ca 0.2631 0.4298 0.7047  6 O 2.33-2.52
4 Ca 0.7369 0.5702 0.2953  6 O 2.33-2.52
5 Ca 0.7404 0.0760 0.3025  5 O 2.29-2.45
6 Ca 0.9703 0.7495 0.9957  7 O 2.36-2.61
7 Si 0.2294 0.1126 0.3152  4 O 1.60-1.67
8 Si 0.2298 0.5461 0.3159  4 O 1.61-1.67
9 Si 0.4420 0.7769 0.1052  4 O 1.62-1.69
10 Si 0.5580 0.2231 0.8948  4 O 1.62-1.69
11 Si 0.7702 0.4539 0.6841  4 O 1.61-1.67
12 Si 0.7706 0.8874 0.6848  4 O 1.60-1.67
13 O 0.0343 0.0363 0.1962  1 Si 1.63
14 O 0.0342 0.5638 0.1989  1 Si 1.63
15 O 0.2328 0.1281 0.5181  1 Si 1.60
16 O 0.2369 0.6319 0.5204  1 Si 1.61
17 O 0.2712 0.3205 0.2786  2 Si 1.66
18 O 0.2984 0.7313 0.9311  1 Si 1.62
19 O 0.3313 0.2255 0.8993  1 Si 1.63
20 O 0.4062 0.6294 0.2314  2 Si 1.67-1.69
21 O 0.4067 0.9884 0.2295  2 Si 1.67-1.68
22 O 0.5933 0.0116 0.7705  2 Si 1.67-1.68
23 O 0.5938 0.3706 0.7686  2 Si 1.67-1.69
24 O 0.6687 0.7745 0.1007  1 Si 1.63
25 O 0.7016 0.2687 0.0689  1 Si 1.62
26 O 0.7288 0.6795 0.7214  2 Si 1.66
27 O 0.7631 0.3681 0.4796  1 Si 1.61
28 O 0.7672 0.8719 0.4819  1 Si 1.60
29 O 0.9658 0.4362 0.8011  1 Si 1.63
30 O 0.9657 0.9637 0.8038  1 Si 1.63